Dy2Fe6Co8B after structural relaxation, computed with GGA-PBE. Values from VASP.

Output
Magnetization, μB per cell: 96.3
Formation energy, eV per formula unit: -2.64
Crystal system: tetragonal

```
&SYSTEM
  ibrav = 0, nat = 68, ntyp = 4
/
ATOMIC_SPECIES
Co 58.93 Co.upf
Dy 162.50 Dy.upf
B 10.81 B.upf
Fe 55.84 Fe.upf
CELL_PARAMETERS angstrom
8.680 0.000 0.000
0.000 8.680 0.000
0.000 0.000 11.644
ATOMIC_POSITIONS crystal
Co 0.142 0.537 0.677
Dy 0.355 0.355 0.500
Dy 0.270 0.270 0.000
B 0.126 0.126 0.500
Co 0.537 0.142 0.323
Fe 0.723 0.933 0.372
Co 0.318 0.318 0.247
Fe 0.000 0.500 0.500
Co 0.182 0.818 0.747
Fe 0.067 0.277 0.628
Fe 0.223 0.567 0.128
Fe 0.277 0.067 0.372
Fe 0.277 0.067 0.628
Co 0.358 0.037 0.177
Dy 0.770 0.230 0.500
Co 0.642 0.963 0.823
Co 0.902 0.902 0.797
Co 0.598 0.402 0.703
Co 0.598 0.402 0.297
Dy 0.645 0.645 0.500
B 0.874 0.874 0.500
Co 0.858 0.463 0.323
Co 0.963 0.642 0.177
Co 0.902 0.902 0.203
Fe 0.500 0.500 0.884
Fe 0.000 0.000 0.616
Fe 0.223 0.567 0.872
Co 0.182 0.818 0.253
Fe 0.933 0.723 0.628
Co 0.858 0.463 0.677
Co 0.463 0.858 0.677
Co 0.963 0.642 0.823
Co 0.358 0.037 0.823
Co 0.463 0.858 0.323
Fe 0.723 0.933 0.628
Co 0.818 0.182 0.253
B 0.626 0.374 0.000
Fe 0.000 0.500 0.000
Co 0.142 0.537 0.323
Fe 0.433 0.777 0.128
Fe 0.933 0.723 0.372
Co 0.682 0.682 0.753
Co 0.402 0.598 0.297
Co 0.402 0.598 0.703
Co 0.642 0.963 0.177
Co 0.537 0.142 0.677
Co 0.098 0.098 0.797
Dy 0.145 0.855 0.000
B 0.374 0.626 0.000
Dy 0.730 0.730 0.000
Fe 0.500 0.000 0.500
Co 0.818 0.182 0.747
Dy 0.230 0.770 0.500
Co 0.098 0.098 0.203
Fe 0.567 0.223 0.872
Co 0.682 0.682 0.247
Co 0.037 0.358 0.823
Co 0.037 0.358 0.177
Fe 0.500 0.000 0.000
Dy 0.855 0.145 0.000
Fe 0.777 0.433 0.872
Fe 0.777 0.433 0.128
Fe 0.567 0.223 0.128
Fe 0.067 0.277 0.372
Fe 0.000 0.000 0.384
Co 0.318 0.318 0.753
Fe 0.500 0.500 0.116
Fe 0.433 0.777 0.872
```


K3TmF6 after structural relaxation, computed with GGA-PBE. Values from VASP.

Output
Magnetization, μB per cell: 0.0
Formation energy, eV per formula unit: -35.67
Crystal system: cubic

```
&SYSTEM
  ibrav = 0, nat = 10, ntyp = 3
/
ATOMIC_SPECIES
F 19.00 F.upf
K 39.10 K.upf
Tm 168.93 Tm.upf
CELL_PARAMETERS angstrom
1.560 -4.656 4.385
4.667 -4.422 -1.414
5.795 0.221 3.115
ATOMIC_POSITIONS crystal
F 0.771 0.229 0.771
K 0.750 0.750 0.750
K 0.250 0.250 0.250
F 0.229 0.229 0.771
K 0.500 0.500 0.500
F 0.771 0.771 0.229
F 0.229 0.771 0.771
Tm 0.000 0.000 0.000
F 0.229 0.771 0.229
F 0.771 0.229 0.229
```


CeAlO3 after structural relaxation, computed with GGA-PBE. Values from VASP.

Output
Formation energy, eV per formula unit: -18.08
Crystal system: tetragonal

```
&SYSTEM
  ibrav = 0, nat = 10, ntyp = 3
/
ATOMIC_SPECIES
O 16.00 O.upf
Al 26.98 Al.upf
Ce 140.12 Ce.upf
CELL_PARAMETERS angstrom
4.779 -1.530 -1.934
2.386 1.335 4.631
-4.170 -3.395 -0.039
ATOMIC_POSITIONS crystal
O 0.288 0.788 0.076
O 0.250 0.250 0.000
O 0.788 0.712 0.500
Al 0.000 0.000 0.000
O 0.750 0.750 0.000
Al 0.500 0.500 0.000
O 0.712 0.212 0.924
Ce 0.250 0.750 0.500
O 0.212 0.288 0.500
Ce 0.750 0.250 0.500
```


Na3B5SO8 after structural relaxation, computed with GGA-PBE. Values from VASP.

Output
Magnetization, μB per cell: 0.0
Formation energy, eV per formula unit: -43.18
Crystal system: monoclinic

```
&SYSTEM
  ibrav = 0, nat = 68, ntyp = 4
/
ATOMIC_SPECIES
B 10.81 B.upf
O 16.00 O.upf
Na 22.99 Na.upf
S 32.06 S.upf
CELL_PARAMETERS angstrom
6.326 0.000 0.000
0.000 11.070 0.000
0.000 0.686 11.602
ATOMIC_POSITIONS crystal
B 0.988 0.956 0.675
O 0.288 0.141 0.633
O 0.046 0.615 0.191
Na 0.193 0.303 0.475
O 0.048 0.512 0.378
O 0.347 0.638 0.321
O 0.653 0.362 0.679
B 0.512 0.456 0.675
B 0.384 0.817 0.859
B 0.887 0.373 0.688
O 0.454 0.435 0.278
S 0.749 0.636 0.012
S 0.751 0.136 0.012
B 0.012 0.044 0.325
O 0.680 0.566 0.381
Na 0.783 0.891 0.979
O 0.320 0.710 0.813
B 0.661 0.979 0.378
O 0.954 0.065 0.722
B 0.616 0.183 0.141
B 0.488 0.544 0.325
Na 0.077 0.353 0.211
Na 0.923 0.647 0.789
O 0.180 0.210 0.813
O 0.212 0.641 0.633
B 0.884 0.683 0.141
O 0.452 0.012 0.378
O 0.954 0.385 0.809
O 0.320 0.434 0.619
Na 0.217 0.109 0.021
Na 0.423 0.853 0.211
O 0.476 0.234 0.362
B 0.161 0.521 0.622
O 0.952 0.488 0.622
B 0.113 0.627 0.312
O 0.180 0.934 0.619
O 0.680 0.290 0.187
Na 0.307 0.803 0.475
O 0.454 0.115 0.191
B 0.116 0.317 0.859
O 0.024 0.734 0.362
B 0.387 0.127 0.312
O 0.788 0.359 0.367
O 0.712 0.859 0.367
O 0.153 0.138 0.321
O 0.548 0.988 0.622
B 0.613 0.873 0.688
O 0.820 0.066 0.381
Na 0.807 0.697 0.525
O 0.820 0.790 0.187
O 0.546 0.565 0.722
O 0.847 0.862 0.679
O 0.546 0.885 0.809
Na 0.283 0.609 0.021
Na 0.717 0.391 0.979
S 0.251 0.364 0.988
B 0.595 0.327 0.299
Na 0.693 0.197 0.525
O 0.524 0.766 0.638
S 0.249 0.864 0.988
O 0.046 0.935 0.278
O 0.976 0.266 0.638
Na 0.577 0.147 0.789
B 0.339 0.021 0.622
B 0.839 0.479 0.378
B 0.405 0.673 0.701
B 0.905 0.827 0.299
B 0.095 0.173 0.701
```


| no. | calculated total energy (eV for the cell shown) |
| --- | --- |
| 1 | -504.9 |
| 2 | -52.2 |
| 3 | -81.1 |
| 4 | -473.1 |